# RbCuAg2C4N4

A relaxed RbCuAg2C4N4 crystal (PBE, Materials Project).

Calculated values
energy relative to the elements: 72 meV/atom
spin magnetization: 0.01 μB/f.u.
crystal system: monoclinic
calculated total energy: -6.558 eV per atom

Lattice parameters (Å, degrees): 7.812 7.766 7.969 90.00 102.82 90.00
Fractional positions:
Rb 0.000 0.246 0.250
Rb 0.000 0.754 0.750
Cu 0.000 0.256 0.750
Cu 0.000 0.744 0.250
Ag 0.500 0.000 0.000
Ag 0.500 0.000 0.500
Ag 0.500 0.436 0.250
Ag 0.500 0.564 0.750
C 0.284 0.076 0.590
C 0.284 0.924 0.090
C 0.286 0.418 0.045
C 0.286 0.582 0.545
C 0.714 0.418 0.455
C 0.714 0.582 0.955
C 0.716 0.076 0.910
C 0.716 0.924 0.410
N 0.163 0.125 0.642
N 0.163 0.875 0.142
N 0.165 0.388 0.931
N 0.165 0.612 0.431
N 0.835 0.388 0.569
N 0.835 0.612 0.069
N 0.837 0.125 0.858
N 0.837 0.875 0.358